# FeHO2 PBE with a Hubbard U relaxed
data_FeHO2
_space_group_name_H-M_alt 'P 1'
_space_group_IT_number 1
_cell_length_a 6.0950
_cell_length_b 10.4074
_cell_length_c 10.5812
_cell_angle_alpha 88.21
_cell_angle_beta 89.79
_cell_angle_gamma 89.74
loop_
_space_group_symop_operation_xyz
'x,y,z'
loop_
_atom_site_label
_atom_site_fract_x
_atom_site_fract_y
_atom_site_fract_z
_atom_site_occupancy
Fe1 0.0000 0.0000 0.0000 1
Fe2 0.0006 0.7901 0.4861 1
Fe3 0.0021 0.5090 0.7991 1
Fe4 0.2486 0.9963 0.2993 1
Fe5 0.2499 0.8002 0.7848 1
Fe6 0.2532 0.4932 0.5195 1
Fe7 0.2673 0.2960 0.0179 1
Fe8 0.4948 0.9924 0.9939 1
Fe9 0.5023 0.7847 0.4960 1
Fe10 0.5070 0.4987 0.8155 1
Fe11 0.5112 0.3008 0.3211 1
Fe12 0.7396 0.2966 0.0340 1
Fe13 0.7460 0.9947 0.2872 1
Fe14 0.7494 0.8018 0.7849 1
Fe15 0.7545 0.4867 0.5097 1
Fe16 0.9971 0.2976 0.3156 1
H1 0.0059 0.2911 0.5944 1
H2 0.1316 0.2163 0.8316 1
H3 0.2335 0.7352 0.2882 1
H4 0.2416 0.5014 0.2647 1
H5 0.2554 0.5547 0.0029 1
H6 0.2560 0.7984 0.0533 1
H7 0.4820 0.0525 0.4800 1
H8 0.4922 0.2836 0.5869 1
H9 0.4981 0.0122 0.7339 1
H10 0.5040 0.2242 0.8353 1
H11 0.7257 0.7941 0.0495 1
H12 0.7619 0.7139 0.3059 1
H13 0.7710 0.5481 0.0079 1
H14 0.8780 0.2230 0.8343 1
H15 0.9906 0.0475 0.4892 1
H16 0.9986 0.0060 0.7277 1
O1 0.9996 0.6909 0.8257 1
O2 0.0013 0.6076 0.4957 1
O3 0.0021 0.9779 0.4302 1
O4 0.0068 0.2705 0.7998 1
O5 0.0088 0.3123 0.1233 1
O6 0.0094 0.3440 0.5165 1
O7 0.0096 0.9804 0.1823 1
O8 0.2438 0.7998 0.3523 1
O9 0.2440 0.8120 0.6030 1
O10 0.2463 0.4345 0.3308 1
O11 0.2501 0.1147 0.9649 1
O12 0.2544 0.1769 0.3271 1
O13 0.2537 0.4864 0.9422 1
O14 0.2547 0.8617 0.9836 1
O15 0.2663 0.4805 0.7029 1
O16 0.4909 0.9817 0.1763 1
O17 0.4930 0.9786 0.4263 1
O18 0.4980 0.3420 0.5136 1
O19 0.4987 0.9461 0.8007 1
O20 0.5005 0.3331 0.1377 1
O21 0.5002 0.6018 0.4864 1
O22 0.5021 0.6838 0.8168 1
O23 0.5161 0.3068 0.8755 1
O24 0.7407 0.8632 0.9860 1
O25 0.7438 0.1160 0.9809 1
O26 0.7469 0.4829 0.6983 1
O27 0.7527 0.1757 0.3270 1
O28 0.7554 0.8149 0.6030 1
O29 0.7569 0.4308 0.3283 1
O30 0.7579 0.7923 0.3540 1
O31 0.7632 0.4819 0.9452 1
O32 0.9968 0.9464 0.8004 1
# Total magnetization: 5.0 μB per formula unit
# Total DFT energy (no corrections): -5.949 eV per atom